*w*
A plane-wave DFT calculation with PBE+U was carried out for Y2Mo3O12 after structural relaxation.

a = 14.1981 Å, b = 10.1375 Å, c = 10.2613 Å
α = 90.00°, β = 90.00°, γ = 90.00°
Last column: nearest neighbours and their distance in Å.
Element x y z (fractional)
1 Y 0.1175 0.2493 0.0309  6 O 2.25-2.29
2 Y 0.1175 0.7507 0.5309  6 O 2.25-2.29
3 Y 0.3825 0.2507 0.5309  6 O 2.25-2.29
4 Y 0.3825 0.7493 0.0309  6 O 2.25-2.29
5 Y 0.6175 0.2507 0.9691  6 O 2.25-2.29
6 Y 0.6175 0.7493 0.4691  6 O 2.25-2.29
7 Y 0.8825 0.2493 0.4691  6 O 2.25-2.29
8 Y 0.8825 0.7507 0.9691  6 O 2.25-2.29
9 Mo 0.0000 0.0280 0.7500  4 O 1.79
10 Mo 0.0000 0.9720 0.2500  4 O 1.79
11 Mo 0.1432 0.3907 0.3845  4 O 1.79
12 Mo 0.1432 0.6093 0.8845  4 O 1.79
13 Mo 0.3568 0.1093 0.8845  4 O 1.79
14 Mo 0.3568 0.8907 0.3845  4 O 1.79
15 Mo 0.5000 0.4720 0.2500  4 O 1.79
16 Mo 0.5000 0.5280 0.7500  4 O 1.79
17 Mo 0.6432 0.1093 0.6155  4 O 1.79
18 Mo 0.6432 0.8907 0.1155  4 O 1.79
19 Mo 0.8568 0.3907 0.1155  4 O 1.79
20 Mo 0.8568 0.6093 0.6155  4 O 1.79
21 O 0.0333 0.3192 0.4322  1 Mo 1.79
22 O 0.0333 0.6808 0.9322  1 Mo 1.79
23 O 0.0653 0.1303 0.8600  1 Mo 1.79
24 O 0.0653 0.8697 0.3600  1 Mo 1.79
25 O 0.0801 0.0744 0.1604  1 Mo 1.79
26 O 0.0801 0.9256 0.6604  1 Mo 1.79
27 O 0.1388 0.4345 0.9110  1 Mo 1.79
28 O 0.1388 0.5655 0.4110  1 Mo 1.79
29 O 0.1626 0.3577 0.2148  1 Mo 1.79
30 O 0.1626 0.6423 0.7148  1 Mo 1.79
31 O 0.2363 0.3201 0.4801  1 Mo 1.79
32 O 0.2363 0.6799 0.9801  1 Mo 1.79
33 O 0.2637 0.1799 0.9801  1 Mo 1.79
34 O 0.2637 0.8201 0.4801  1 Mo 1.79
35 O 0.3374 0.1423 0.7148  1 Mo 1.79
36 O 0.3374 0.8577 0.2148  1 Mo 1.79
37 O 0.3612 0.0655 0.4110  1 Mo 1.79
38 O 0.3612 0.9345 0.9110  1 Mo 1.79
39 O 0.4199 0.4256 0.6604  1 Mo 1.79
40 O 0.4199 0.5744 0.1604  1 Mo 1.79
41 O 0.4347 0.3697 0.3600  1 Mo 1.79
42 O 0.4347 0.6303 0.8600  1 Mo 1.79
43 O 0.4667 0.1808 0.9322  1 Mo 1.79
44 O 0.4667 0.8192 0.4322  1 Mo 1.79
45 O 0.5333 0.1808 0.5678  1 Mo 1.79
46 O 0.5333 0.8192 0.0678  1 Mo 1.79
47 O 0.5653 0.3697 0.1400  1 Mo 1.79
48 O 0.5653 0.6303 0.6400  1 Mo 1.79
49 O 0.5801 0.4256 0.8396  1 Mo 1.79
50 O 0.5801 0.5744 0.3396  1 Mo 1.79
51 O 0.6388 0.0655 0.0890  1 Mo 1.79
52 O 0.6388 0.9345 0.5890  1 Mo 1.79
53 O 0.6626 0.1423 0.7852  1 Mo 1.79
54 O 0.6626 0.8577 0.2852  1 Mo 1.79
55 O 0.7363 0.1799 0.5199  1 Mo 1.79
56 O 0.7363 0.8201 0.0199  1 Mo 1.79
57 O 0.7637 0.3201 0.0199  1 Mo 1.79
58 O 0.7637 0.6799 0.5199  1 Mo 1.79
59 O 0.8374 0.3577 0.2852  1 Mo 1.79
60 O 0.8374 0.6423 0.7852  1 Mo 1.79
61 O 0.8612 0.4345 0.5890  1 Mo 1.79
62 O 0.8612 0.5655 0.0890  1 Mo 1.79
63 O 0.9199 0.0744 0.3396  1 Mo 1.79
64 O 0.9199 0.9256 0.8396  1 Mo 1.79
65 O 0.9347 0.1303 0.6400  1 Mo 1.79
66 O 0.9347 0.8697 0.1400  1 Mo 1.79
67 O 0.9667 0.3192 0.0678  1 Mo 1.79
68 O 0.9667 0.6808 0.5678  1 Mo 1.79

=====

*x*
A plane-wave DFT calculation with PBE+U was carried out for Y2Mo3O12 after structural relaxation.

a = 7.4603 Å, b = 7.4603 Å, c = 10.7541 Å
α = 90.00°, β = 90.00°, γ = 90.00°
Last column: nearest neighbours and their distance in Å.
Element x y z (fractional)
1 Y 0.1866 0.3134 0.2382  7 O 2.26-2.43
2 Y 0.3134 0.8134 0.7618  7 O 2.26-2.43
3 Y 0.6866 0.1866 0.7618  7 O 2.26-2.43
4 Y 0.8134 0.6866 0.2382  7 O 2.26-2.43
5 Mo 0.0000 0.0000 0.5000  4 O 1.79
6 Mo 0.2060 0.2940 0.8571  4 O 1.78-1.84
7 Mo 0.2940 0.7940 0.1429  4 O 1.78-1.84
8 Mo 0.5000 0.5000 0.5000  4 O 1.79
9 Mo 0.7060 0.2060 0.1429  4 O 1.78-1.84
10 Mo 0.7940 0.7060 0.8571  4 O 1.78-1.84
11 O 0.0072 0.7740 0.7988  1 Mo 1.78
12 O 0.0438 0.1900 0.4027  1 Mo 1.79
13 O 0.1270 0.6270 0.1914  1 Mo 1.84
14 O 0.1900 0.9562 0.5973  1 Mo 1.79
15 O 0.1939 0.3061 0.0221  1 Mo 1.78
16 O 0.2260 0.0072 0.2012  1 Mo 1.78
17 O 0.2740 0.5072 0.7988  1 Mo 1.78
18 O 0.3061 0.8061 0.9779  1 Mo 1.78
19 O 0.3100 0.4562 0.4027  1 Mo 1.79
20 O 0.3730 0.1270 0.8086  1 Mo 1.84
21 O 0.4562 0.6900 0.5973  1 Mo 1.79
22 O 0.4928 0.2740 0.2012  1 Mo 1.78
23 O 0.5072 0.7260 0.2012  1 Mo 1.78
24 O 0.5438 0.3100 0.5973  1 Mo 1.79
25 O 0.6270 0.8730 0.8086  1 Mo 1.84
26 O 0.6900 0.5438 0.4027  1 Mo 1.79
27 O 0.6939 0.1939 0.9779  1 Mo 1.78
28 O 0.7260 0.4928 0.7988  1 Mo 1.78
29 O 0.7740 0.9928 0.2012  1 Mo 1.78
30 O 0.8061 0.6939 0.0221  1 Mo 1.78
31 O 0.8100 0.0438 0.5973  1 Mo 1.79
32 O 0.8730 0.3730 0.1914  1 Mo 1.84
33 O 0.9562 0.8100 0.4027  1 Mo 1.79
34 O 0.9928 0.2260 0.7988  1 Mo 1.78

=====

The data favor *w*; the next most stable structure lies 27 meV per atom above it.

=====

*w*
A plane-wave DFT calculation with PBE+U was carried out for ZnMo2O4 after structural relaxation.

a = 6.1995 Å, b = 6.1995 Å, c = 6.1995 Å
α = 62.55°, β = 62.55°, γ = 62.55°
Last column: nearest neighbours and their distance in Å.
Element x y z (fractional)
1 Zn 0.0000 0.0000 0.0000  4 O 2.02-2.04
2 Zn 0.2445 0.2445 0.2445  4 O 2.02-2.04
3 Mo 0.1219 0.6220 0.6220  6 O 2.17-2.18
4 Mo 0.6220 0.1219 0.6220  6 O 2.17-2.18
5 Mo 0.6220 0.6220 0.1219  6 O 2.17-2.18
6 Mo 0.6216 0.6216 0.6216  6 O 2.19
7 O 0.3764 0.3764 0.8549  1 Zn 2.04, 3 Mo 2.18-2.19
8 O 0.3764 0.8549 0.3764  1 Zn 2.04, 3 Mo 2.18-2.19
9 O 0.3800 0.3800 0.3800  1 Zn 2.02, 3 Mo 2.17
10 O 0.3894 0.8665 0.8665  1 Zn 2.04, 3 Mo 2.18-2.19
11 O 0.8549 0.3764 0.3764  1 Zn 2.04, 3 Mo 2.18-2.19
12 O 0.8640 0.8640 0.8640  1 Zn 2.02, 3 Mo 2.17
13 O 0.8665 0.3894 0.8665  1 Zn 2.04, 3 Mo 2.18-2.19
14 O 0.8665 0.8665 0.3894  1 Zn 2.04, 3 Mo 2.18-2.19

=====

*x*
A plane-wave DFT calculation with PBE+U was carried out for ZnMo2O4 after structural relaxation.

a = 6.3349 Å, b = 6.3349 Å, c = 6.3349 Å
α = 60.00°, β = 60.00°, γ = 60.00°
Last column: nearest neighbours and their distance in Å.
Element x y z (fractional)
1 Zn 0.1250 0.1250 0.1250  4 O 2.05
2 Zn 0.8750 0.8750 0.8750  4 O 2.05
3 Mo 0.0000 0.5000 0.5000  6 O 2.18
4 Mo 0.5000 0.0000 0.5000  6 O 2.18
5 Mo 0.5000 0.5000 0.0000  6 O 2.18
6 Mo 0.5000 0.5000 0.5000  6 O 2.18
7 O 0.2570 0.2570 0.2570  1 Zn 2.05, 3 Mo 2.18
8 O 0.2570 0.2570 0.7289  1 Zn 2.05, 3 Mo 2.18
9 O 0.2570 0.7289 0.2570  1 Zn 2.05, 3 Mo 2.18
10 O 0.2711 0.7430 0.7430  1 Zn 2.05, 3 Mo 2.18
11 O 0.7289 0.2570 0.2570  1 Zn 2.05, 3 Mo 2.18
12 O 0.7430 0.2711 0.7430  1 Zn 2.05, 3 Mo 2.18
13 O 0.7430 0.7430 0.2711  1 Zn 2.05, 3 Mo 2.18
14 O 0.7430 0.7430 0.7430  1 Zn 2.05, 3 Mo 2.18

=====

*y*
A plane-wave DFT calculation with PBE+U was carried out for ZnMo2O4 after structural relaxation.

a = 6.4604 Å, b = 6.4604 Å, c = 6.4604 Å
α = 124.38°, β = 123.07°, γ = 83.67°
Last column: nearest neighbours and their distance in Å.
Element x y z (fractional)
1 Zn 0.5000 0.0000 0.0000  6 O 2.16-2.17
2 Zn 0.5000 0.5000 0.5000  6 O 2.16-2.17
3 Mo 0.0000 0.0000 0.0000  6 O 2.16-2.18
4 Mo 0.1207 0.3707 0.7500  4 O 2.09-2.11
5 Mo 0.5000 0.0000 0.5000  6 O 2.16-2.18
6 Mo 0.8793 0.6293 0.2500  4 O 2.09-2.11
7 O 0.2234 0.2240 0.9994  2 Mo 2.09-2.16, 2 Zn 2.17
8 O 0.2753 0.2770 0.5017  3 Mo 2.11-2.18, 1 Zn 2.16
9 O 0.2753 0.7736 0.9983  3 Mo 2.11-2.18, 1 Zn 2.16
10 O 0.2753 0.7760 0.4994  2 Mo 2.09-2.16, 2 Zn 2.17
11 O 0.7247 0.2240 0.5006  2 Mo 2.09-2.16, 2 Zn 2.17
12 O 0.7247 0.2264 0.0017  3 Mo 2.11-2.18, 1 Zn 2.16
13 O 0.7247 0.7230 0.4983  3 Mo 2.11-2.18, 1 Zn 2.16
14 O 0.7766 0.7760 0.0006  2 Mo 2.09-2.16, 2 Zn 2.17

=====

*z*
A plane-wave DFT calculation with PBE+U was carried out for ZnMo2O4 after structural relaxation.

a = 6.4374 Å, b = 10.4636 Å, c = 5.5283 Å
α = 90.00°, β = 90.00°, γ = 90.00°
Last column: nearest neighbours and their distance in Å.
Element x y z (fractional)
1 Zn 0.2500 0.2500 0.0494  2 O 2.10
2 Zn 0.2500 0.7500 0.3621  2 O 2.04
3 Zn 0.7500 0.2500 0.6379  2 O 2.04
4 Zn 0.7500 0.7500 0.9506  2 O 2.10
5 Mo 0.0000 0.0000 0.5000  6 O 2.12-2.21
6 Mo 0.0000 0.5000 0.5000  6 O 2.12-2.21
7 Mo 0.2500 0.5205 0.9834  6 O 2.13-2.24
8 Mo 0.2500 0.9795 0.9834  6 O 2.13-2.24
9 Mo 0.5000 0.0000 0.5000  6 O 2.12-2.21
10 Mo 0.5000 0.5000 0.5000  6 O 2.12-2.21
11 Mo 0.7500 0.0205 0.0166  6 O 2.13-2.24
12 Mo 0.7500 0.4795 0.0166  6 O 2.13-2.24
13 O 0.0070 0.1120 0.8353  3 Mo 2.16-2.24
14 O 0.0070 0.3880 0.8353  3 Mo 2.16-2.24
15 O 0.2500 0.0981 0.2975  1 Zn 2.10, 3 Mo 2.13-2.21
16 O 0.2500 0.4019 0.2975  1 Zn 2.10, 3 Mo 2.13-2.21
17 O 0.2500 0.6139 0.6275  1 Zn 2.04, 3 Mo 2.12-2.20
18 O 0.2500 0.8861 0.6275  1 Zn 2.04, 3 Mo 2.12-2.20
19 O 0.4930 0.1120 0.8353  3 Mo 2.16-2.24
20 O 0.4930 0.3880 0.8353  3 Mo 2.16-2.24
21 O 0.5070 0.6120 0.1647  3 Mo 2.16-2.24
22 O 0.5070 0.8880 0.1647  3 Mo 2.16-2.24
23 O 0.7500 0.1139 0.3725  1 Zn 2.04, 3 Mo 2.12-2.20
24 O 0.7500 0.3861 0.3725  1 Zn 2.04, 3 Mo 2.12-2.20
25 O 0.7500 0.5981 0.7025  1 Zn 2.10, 3 Mo 2.13-2.21
26 O 0.7500 0.9019 0.7025  1 Zn 2.10, 3 Mo 2.13-2.21
27 O 0.9930 0.6120 0.1647  3 Mo 2.16-2.24
28 O 0.9930 0.8880 0.1647  3 Mo 2.16-2.24

=====

The data favor *w*; the next most stable structure lies 72 meV per atom above it.